Na30Mg8Nb16Si27S9O144 | PBE-GGA | relaxed

a = 9.0439 Å, b = 15.6428 Å, c = 22.5612 Å
α = 89.95°, β = 89.94°, γ = 89.92°
Space group P1 (No. 1)
Asymmetric unit:
Na  0.0000  0.0000  0.0000 x1
Na  0.0001  0.3265  0.6724 x1
Na  0.0166  0.6743  0.3471 x1
Na  0.0520  0.0226  0.6738 x1
Na  0.1687  0.8431  0.5801 x1
Na  0.1697  0.5110  0.4264 x1
Na  0.1756  0.1820  0.2497 x1
Na  0.1842  0.5104  0.9282 x1
Na  0.1893  0.1832  0.7532 x1
Na  0.1938  0.8371  0.0850 x1
Na  0.3052  0.0228  0.1748 x1
Na  0.3390  0.6728  0.8477 x1
Na  0.3552  0.3265  0.1721 x1
Na  0.3779  0.7014  0.1672 x1
Na  0.4801  0.1996  0.6741 x1
Na  0.4954  0.5260  0.3467 x1
Na  0.4976  0.8250  0.6730 x1
Na  0.5499  0.5229  0.6716 x1
Na  0.6583  0.0133  0.9246 x1
Na  0.6691  0.6888  0.2505 x1
Na  0.6769  0.0161  0.4196 x1
Na  0.6776  0.3505  0.5842 x1
Na  0.6844  0.6876  0.7513 x1
Na  0.6847  0.3445  0.0807 x1
Na  0.8038  0.5224  0.1721 x1
Na  0.8422  0.1709  0.8478 x1
Na  0.8547  0.8266  0.1751 x1
Na  0.8583  0.5258  0.8480 x1
Na  0.8783  0.1991  0.1683 x1
Na  0.9769  0.7003  0.6653 x1
Mg  0.1703  0.1848  0.1128 x1
Mg  0.1712  0.8436  0.4420 x1
Mg  0.1774  0.1833  0.6124 x1
Mg  0.1848  0.8419  0.9421 x1
Mg  0.6704  0.6832  0.1128 x1
Mg  0.6772  0.3497  0.4394 x1
Mg  0.6819  0.3447  0.9429 x1
Mg  0.6830  0.6827  0.6119 x1
Nb  0.1697  0.1816  0.9021 x1
Nb  0.1698  0.5207  0.5715 x1
Nb  0.1734  0.1811  0.3983 x1
Nb  0.1745  0.8483  0.7405 x1
Nb  0.1756  0.5138  0.2799 x1
Nb  0.1805  0.5138  0.7793 x1
Nb  0.1809  0.8495  0.2406 x1
Nb  0.1837  0.5203  0.0723 x1
Nb  0.6639  0.6832  0.9031 x1
Nb  0.6730  0.0168  0.2815 x1
Nb  0.6741  0.3483  0.7400 x1
Nb  0.6766  0.0154  0.7812 x1
Nb  0.6776  0.0159  0.5731 x1
Nb  0.6786  0.3479  0.2404 x1
Nb  0.6816  0.0214  0.0738 x1
Nb  0.6910  0.6852  0.4022 x1
Si  0.0280  0.7038  0.8437 x1
Si  0.0304  0.3722  0.1734 x1
Si  0.0313  0.9905  0.8476 x1
Si  0.0324  0.6629  0.1759 x1
Si  0.3218  0.6627  0.6752 x1
Si  0.3225  0.9884  0.3473 x1
Si  0.3240  0.3720  0.6721 x1
Si  0.3253  0.7044  0.3443 x1
Si  0.3790  0.6869  0.0142 x1
Si  0.3865  0.0150  0.6753 x1
Si  0.3908  0.3493  0.3451 x1
Si  0.4638  0.8536  0.8445 x1
Si  0.4703  0.5145  0.1766 x1
Si  0.5289  0.4896  0.8465 x1
Si  0.5300  0.2053  0.8448 x1
Si  0.5307  0.1632  0.1762 x1
Si  0.5324  0.8727  0.1746 x1
Si  0.8138  0.2047  0.3462 x1
Si  0.8224  0.1624  0.6757 x1
Si  0.8236  0.8712  0.6756 x1
Si  0.8260  0.4914  0.3456 x1
Si  0.8801  0.1869  0.0131 x1
Si  0.8844  0.5146  0.6767 x1
Si  0.8910  0.8551  0.3444 x1
Si  0.9649  0.3515  0.8441 x1
Si  0.9696  0.0146  0.1768 x1
Si  0.9740  0.6881  0.5137 x1
S  0.0312  0.0390  0.5109 x1
S  0.0315  0.3265  0.5107 x1
S  0.3204  0.3272  0.0104 x1
S  0.3241  0.0385  0.0105 x1
S  0.4672  0.1828  0.5106 x1
S  0.5310  0.5352  0.5102 x1
S  0.5331  0.8291  0.5107 x1
S  0.8208  0.8275  0.0105 x1
S  0.8229  0.5375  0.0101 x1
O  0.0009  0.1940  0.3522 x1
O  0.0010  0.5152  0.3351 x1
O  0.0048  0.8683  0.6797 x1
O  0.0538  0.9405  0.9077 x1
O  0.0583  0.7630  0.7820 x1
O  0.0601  0.4359  0.1162 x1
O  0.0639  0.9249  0.1805 x1
O  0.0655  0.0946  0.4583 x1
O  0.0664  0.2630  0.8502 x1
O  0.0668  0.2790  0.5657 x1
O  0.0668  0.6033  0.2339 x1
O  0.0723  0.5927  0.5136 x1
O  0.0768  0.4320  0.8318 x1
O  0.0779  0.0955  0.1729 x1
O  0.0826  0.0815  0.5659 x1
O  0.0839  0.7666  0.5073 x1
O  0.0944  0.2807  0.4580 x1
O  0.0946  0.9544  0.5064 x1
O  0.0964  0.6066  0.8315 x1
O  0.1017  0.4236  0.2303 x1
O  0.1063  0.9457  0.7871 x1
O  0.1068  0.2796  0.1729 x1
O  0.1075  0.0894  0.8504 x1
O  0.1084  0.4127  0.5118 x1
O  0.1156  0.6141  0.1187 x1
O  0.1179  0.7551  0.1797 x1
O  0.1221  0.7411  0.8962 x1
O  0.2304  0.7399  0.3972 x1
O  0.2371  0.7554  0.6800 x1
O  0.2379  0.6143  0.6186 x1
O  0.2404  0.4127  0.0112 x1
O  0.2446  0.0875  0.3540 x1
O  0.2456  0.9488  0.2848 x1
O  0.2506  0.4212  0.7297 x1
O  0.2512  0.9548  0.0057 x1
O  0.2521  0.2781  0.6695 x1
O  0.2567  0.2799  0.9578 x1
O  0.2594  0.6066  0.3319 x1
O  0.2704  0.0807  0.0647 x1
O  0.2704  0.7664  0.0072 x1
O  0.2794  0.4311  0.3322 x1
O  0.2824  0.2638  0.3533 x1
O  0.2817  0.5924  0.0133 x1
O  0.2833  0.0980  0.6690 x1
O  0.2884  0.6031  0.7334 x1
O  0.2892  0.2799  0.0656 x1
O  0.2900  0.9268  0.6809 x1
O  0.2908  0.0926  0.9568 x1
O  0.2949  0.4361  0.6157 x1
O  0.2965  0.7633  0.2826 x1
O  0.2969  0.9331  0.4040 x1
O  0.3500  0.1944  0.8518 x1
O  0.3503  0.8676  0.1795 x1
O  0.3544  0.5140  0.8349 x1
O  0.3553  0.4983  0.1194 x1
O  0.3558  0.1738  0.1685 x1
O  0.3606  0.5269  0.2335 x1
O  0.3624  0.8314  0.7836 x1
O  0.3632  0.5288  0.5117 x1
O  0.3681  0.1727  0.4582 x1
O  0.3702  0.8701  0.9015 x1
O  0.3753  0.8426  0.5050 x1
O  0.3795  0.1881  0.5659 x1
O  0.4790  0.3401  0.0039 x1
O  0.4790  0.6896  0.0723 x1
O  0.4876  0.3766  0.3999 x1
O  0.4897  0.0292  0.0114 x1
O  0.4911  0.3329  0.2837 x1
O  0.4951  0.6754  0.9532 x1
O  0.4967  0.0089  0.3335 x1
O  0.4973  0.6724  0.6688 x1
O  0.5002  0.0299  0.7302 x1
O  0.5001  0.9983  0.6171 x1
O  0.5052  0.3670  0.6801 x1
O  0.5048  0.6892  0.3521 x1
O  0.5584  0.2638  0.7822 x1
O  0.5580  0.4344  0.9027 x1
O  0.5613  0.1010  0.5126 x1
O  0.5632  0.1002  0.2313 x1
O  0.5635  0.2577  0.5062 x1
O  0.5638  0.5873  0.4555 x1
O  0.5635  0.9368  0.1165 x1
O  0.5649  0.4251  0.1801 x1
O  0.5663  0.7821  0.5660 x1
O  0.5678  0.7633  0.8496 x1
O  0.5762  0.5963  0.1737 x1
O  0.5809  0.9310  0.8325 x1
O  0.5830  0.5790  0.5642 x1
O  0.5971  0.4495  0.5071 x1
O  0.5975  0.7831  0.4581 x1
O  0.6005  0.1096  0.8309 x1
O  0.6039  0.9229  0.2306 x1
O  0.6072  0.7797  0.1722 x1
O  0.6095  0.4490  0.7847 x1
O  0.6087  0.5879  0.8507 x1
O  0.6128  0.9160  0.5122 x1
O  0.6159  0.1166  0.1176 x1
O  0.6172  0.2551  0.1805 x1
O  0.6266  0.2411  0.8971 x1
O  0.7354  0.2546  0.6785 x1
O  0.7397  0.1123  0.6185 x1
O  0.7442  0.2433  0.4037 x1
O  0.7439  0.9141  0.0104 x1
O  0.7446  0.4505  0.2848 x1
O  0.7454  0.5896  0.3502 x1
O  0.7467  0.7794  0.6728 x1
O  0.7514  0.9237  0.7306 x1
O  0.7544  0.1084  0.3325 x1
O  0.7549  0.4534  0.0057 x1
O  0.7617  0.7808  0.9572 x1
O  0.7717  0.5818  0.0638 x1
O  0.7729  0.2666  0.0067 x1
O  0.7734  0.9316  0.3324 x1
O  0.7776  0.5962  0.6739 x1
O  0.7850  0.0901  0.0118 x1
O  0.7860  0.7640  0.3494 x1
O  0.7893  0.7802  0.0652 x1
O  0.7895  0.4250  0.6801 x1
O  0.7903  0.5909  0.9551 x1
O  0.7908  0.1032  0.7336 x1
O  0.7913  0.9354  0.6170 x1
O  0.7922  0.2647  0.2847 x1
O  0.7999  0.4379  0.4031 x1
O  0.8494  0.3667  0.1809 x1
O  0.8489  0.6885  0.8507 x1
O  0.8517  0.0289  0.2298 x1
O  0.8558  0.0134  0.8349 x1
O  0.8568  0.6722  0.1692 x1
O  0.8587  0.6759  0.4533 x1
O  0.8615  0.9989  0.1161 x1
O  0.8617  0.0338  0.5125 x1
O  0.8627  0.3307  0.7831 x1
O  0.8654  0.3780  0.8981 x1
O  0.8711  0.3380  0.5067 x1
O  0.8752  0.6896  0.5724 x1
O  0.9794  0.1854  0.0717 x1
O  0.9806  0.8430  0.0055 x1
O  0.9829  0.8681  0.4022 x1
O  0.9904  0.5308  0.0108 x1
O  0.9923  0.8315  0.2837 x1
O  0.9944  0.5268  0.7335 x1
O  0.9972  0.1712  0.9534 x1
O  0.9981  0.1727  0.6689 x1
O  0.9988  0.4981  0.6196 x1

Computed properties:
E ... -7.08 eV per atom

NaPrZrTiO6 | PBE-GGA | relaxed

a = 8.0500 Å, b = 8.0500 Å, c = 8.0500 Å
α = 90.00°, β = 90.00°, γ = 90.00°
Space group F-43m (No. 216)
Asymmetric unit:
Na  0.0000  0.0000  0.0000 x4
Pr  0.0000  0.0000  0.5000 x4
Zr  0.2500  0.2500  0.7500 x4
Ti  0.2500  0.2500  0.2500 x4
O  0.0079  0.2500  0.2500 x24

Computed properties:
E ... -8.16 eV per atom